# 1
A relaxed structure of Ac3In. Source: Materials Project, functional PBE-GGA.

Summary:
Formation enthalpy at 0 K in meV/atom: -160
VASP energy in eV/f.u.: -15.76

a = 7.718 Å, b = 7.718 Å, c = 6.028 Å
α = 90.00°, β = 90.00°, γ = 120.00°
Atoms (fractional coordinates):
Ac (0.175, 0.350, 0.250)
Ac (0.175, 0.825, 0.250)
Ac (0.350, 0.175, 0.750)
Ac (0.650, 0.825, 0.250)
Ac (0.825, 0.175, 0.750)
Ac (0.825, 0.650, 0.750)
In (0.333, 0.667, 0.750)
In (0.667, 0.333, 0.250)

---

# 2
A relaxed structure of AcIn3. Source: Materials Project, functional PBE-GGA.

Summary:
Formation enthalpy at 0 K in meV/atom: -407
VASP energy in eV/f.u.: -14.01

a = 7.216 Å, b = 7.216 Å, c = 5.252 Å
α = 90.00°, β = 90.00°, γ = 120.00°
Atoms (fractional coordinates):
Ac (0.333, 0.667, 0.250)
Ac (0.667, 0.333, 0.750)
In (0.149, 0.299, 0.750)
In (0.149, 0.851, 0.750)
In (0.299, 0.149, 0.250)
In (0.701, 0.851, 0.750)
In (0.851, 0.149, 0.250)
In (0.851, 0.701, 0.250)

---

# 3
A relaxed structure of SrAcIn2. Source: Materials Project, functional PBE-GGA.

Summary:
Formation enthalpy at 0 K in meV/atom: -413
VASP energy in eV/f.u.: -12.96

a = 5.825 Å, b = 5.825 Å, c = 5.825 Å
α = 60.00°, β = 60.00°, γ = 60.00°
Atoms (fractional coordinates):
Sr (0.000, 0.000, 0.000)
Ac (0.500, 0.500, 0.500)
In (0.250, 0.250, 0.250)
In (0.750, 0.750, 0.750)

---

# 4
A relaxed structure of LiAc2Ir. Source: Materials Project, functional PBE-GGA.

Summary:
Formation enthalpy at 0 K in meV/atom: -274
VASP energy in eV/f.u.: -20.09

a = 5.370 Å, b = 5.370 Å, c = 5.370 Å
α = 60.00°, β = 60.00°, γ = 60.00°
Atoms (fractional coordinates):
Li (0.000, 0.000, 0.000)
Ac (0.250, 0.250, 0.250)
Ac (0.750, 0.750, 0.750)
Ir (0.500, 0.500, 0.500)

---

# 5
A relaxed structure of KAc3. Source: Materials Project, functional PBE-GGA.

Summary:
Energy above the lowest structure with this stoichiometry in meV/atom: 0
Formation enthalpy at 0 K in meV/atom: 334
VASP energy in eV/f.u.: -12.14

a = 5.744 Å, b = 5.744 Å, c = 5.744 Å
α = 90.00°, β = 90.00°, γ = 90.00°
Atoms (fractional coordinates):
K (0.000, 0.000, 0.000)
Ac (0.000, 0.500, 0.500)
Ac (0.500, 0.000, 0.500)
Ac (0.500, 0.500, 0.000)

---

# 6
A relaxed structure of K3Ac. Source: Materials Project, functional PBE-GGA.

Summary:
Formation enthalpy at 0 K in meV/atom: 435
VASP energy in eV/f.u.: -5.71

a = 8.870 Å, b = 8.870 Å, c = 7.328 Å
α = 90.00°, β = 90.00°, γ = 120.00°
Atoms (fractional coordinates):
K (0.168, 0.337, 0.250)
K (0.168, 0.832, 0.250)
K (0.337, 0.168, 0.750)
K (0.663, 0.832, 0.250)
K (0.832, 0.168, 0.750)
K (0.832, 0.663, 0.750)
Ac (0.333, 0.667, 0.750)
Ac (0.667, 0.333, 0.250)

---

# 7
A relaxed structure of KAc3. Source: Materials Project, functional PBE-GGA.

Summary:
Energy above the lowest structure with this stoichiometry in meV/atom: 8
Formation enthalpy at 0 K in meV/atom: 342
VASP energy in eV/f.u.: -12.10

a = 6.495 Å, b = 6.495 Å, c = 6.495 Å
α = 60.00°, β = 60.00°, γ = 60.00°
Atoms (fractional coordinates):
K (0.000, 0.000, 0.000)
Ac (0.250, 0.250, 0.250)
Ac (0.500, 0.500, 0.500)
Ac (0.750, 0.750, 0.750)

---

# 8
A relaxed structure of KAcO3. Source: Materials Project, functional PBE-GGA.

Summary:
Formation enthalpy at 0 K in meV/atom: -2217
VASP energy in eV/f.u.: -29.10

a = 4.654 Å, b = 4.654 Å, c = 4.654 Å
α = 90.00°, β = 90.00°, γ = 90.00°
Atoms (fractional coordinates):
K (0.000, 0.000, 0.000)
Ac (0.500, 0.500, 0.500)
O (0.000, 0.500, 0.500)
O (0.500, 0.000, 0.500)
O (0.500, 0.500, 0.000)

---

# 9
A relaxed structure of KAcTe2. Source: Materials Project, functional PBE-GGA.

Summary:
Formation enthalpy at 0 K in meV/atom: -1508
VASP energy in eV/f.u.: -16.71

a = 5.811 Å, b = 5.811 Å, c = 5.811 Å
α = 60.00°, β = 60.00°, γ = 60.00°
Atoms (fractional coordinates):
K (0.000, 0.000, 0.000)
Ac (0.500, 0.500, 0.500)
Te (0.250, 0.250, 0.250)
Te (0.750, 0.750, 0.750)

---

# 10
A relaxed structure of AcLa. Source: Materials Project, functional PBE-GGA.

Summary:
Formation enthalpy at 0 K in meV/atom: 60
VASP energy in eV/f.u.: -8.94

a = 3.927 Å, b = 3.927 Å, c = 6.278 Å
α = 90.00°, β = 90.00°, γ = 120.00°
Atoms (fractional coordinates):
Ac (0.000, 0.000, 0.000)
La (0.667, 0.333, 0.500)

---

# 11
A relaxed structure of AcLa3. Source: Materials Project, functional PBE-GGA.

Summary:
Energy above the lowest structure with this stoichiometry in meV/atom: 0
Formation enthalpy at 0 K in meV/atom: 27
VASP energy in eV/f.u.: -18.82

a = 6.600 Å, b = 6.600 Å, c = 6.600 Å
α = 131.93°, β = 131.93°, γ = 70.33°
Atoms (fractional coordinates):
Ac (0.000, 0.000, 0.000)
La (0.250, 0.750, 0.500)
La (0.500, 0.500, 0.000)
La (0.750, 0.250, 0.500)

---

# 12
A relaxed structure of AcLa3. Source: Materials Project, functional PBE-GGA.

Summary:
Energy above the lowest structure with this stoichiometry in meV/atom: 27
Formation enthalpy at 0 K in meV/atom: 53
VASP energy in eV/f.u.: -18.72

a = 7.638 Å, b = 7.638 Å, c = 6.258 Å
α = 90.00°, β = 90.00°, γ = 120.00°
Atoms (fractional coordinates):
Ac (0.333, 0.667, 0.250)
Ac (0.667, 0.333, 0.750)
La (0.163, 0.327, 0.750)
La (0.163, 0.837, 0.750)
La (0.327, 0.163, 0.250)
La (0.673, 0.837, 0.750)
La (0.837, 0.163, 0.250)
La (0.837, 0.673, 0.250)

---

# 13
A relaxed structure of AcLaMg2. Source: Materials Project, functional PBE-GGA.

Summary:
Formation enthalpy at 0 K in meV/atom: -83
VASP energy in eV/f.u.: -12.59

a = 5.707 Å, b = 5.707 Å, c = 5.707 Å
α = 60.00°, β = 60.00°, γ = 60.00°
Atoms (fractional coordinates):
Ac (0.000, 0.000, 0.000)
La (0.500, 0.500, 0.500)
Mg (0.250, 0.250, 0.250)
Mg (0.750, 0.750, 0.750)

---

# 14
A relaxed structure of LiAc3. Source: Materials Project, functional PBE-GGA.

Summary:
Formation enthalpy at 0 K in meV/atom: 167
VASP energy in eV/f.u.: -13.61

a = 5.438 Å, b = 5.438 Å, c = 5.438 Å
α = 90.00°, β = 90.00°, γ = 90.00°
Atoms (fractional coordinates):
Li (0.000, 0.000, 0.000)
Ac (0.000, 0.500, 0.500)
Ac (0.500, 0.000, 0.500)
Ac (0.500, 0.500, 0.000)

---

# 15
A relaxed structure of LiAcO3. Source: Materials Project, functional PBE-GGA.

Summary:
Formation enthalpy at 0 K in meV/atom: -2407
VASP energy in eV/f.u.: -30.85

a = 3.919 Å, b = 3.919 Å, c = 3.919 Å
α = 90.00°, β = 90.00°, γ = 90.00°
Atoms (fractional coordinates):
Li (0.000, 0.000, 0.000)
Ac (0.500, 0.500, 0.500)
O (0.000, 0.000, 0.500)
O (0.000, 0.500, 0.000)
O (0.500, 0.000, 0.000)

---

# 16
A relaxed structure of LiAc2Ru. Source: Materials Project, functional PBE-GGA.

Summary:
Formation enthalpy at 0 K in meV/atom: -15
VASP energy in eV/f.u.: -19.49

a = 5.360 Å, b = 5.360 Å, c = 5.360 Å
α = 60.00°, β = 60.00°, γ = 60.00°
Atoms (fractional coordinates):
Li (0.000, 0.000, 0.000)
Ac (0.250, 0.250, 0.250)
Ac (0.750, 0.750, 0.750)
Ru (0.500, 0.500, 0.500)

---

# 17
A relaxed structure of LiAc2Sn. Source: Materials Project, functional PBE-GGA.

Summary:
Formation enthalpy at 0 K in meV/atom: -350
VASP energy in eV/f.u.: -15.56

a = 5.734 Å, b = 5.734 Å, c = 5.734 Å
α = 60.00°, β = 60.00°, γ = 60.00°
Atoms (fractional coordinates):
Li (0.000, 0.000, 0.000)
Ac (0.250, 0.250, 0.250)
Ac (0.750, 0.750, 0.750)
Sn (0.500, 0.500, 0.500)

---

# 18
A relaxed structure of LiAcTe2. Source: Materials Project, functional PBE-GGA.

Summary:
Formation enthalpy at 0 K in meV/atom: -1420
VASP energy in eV/f.u.: -17.15

a = 5.602 Å, b = 5.602 Å, c = 5.602 Å
α = 60.00°, β = 60.00°, γ = 60.00°
Atoms (fractional coordinates):
Li (0.000, 0.000, 0.000)
Ac (0.500, 0.500, 0.500)
Te (0.250, 0.250, 0.250)
Te (0.750, 0.750, 0.750)

---

# 19
A relaxed structure of AcMg5. Source: Materials Project, functional PBE-GGA.

Summary:
Formation enthalpy at 0 K in meV/atom: -59
VASP energy in eV/f.u.: -12.48

a = 6.164 Å, b = 6.164 Å, c = 5.002 Å
α = 90.00°, β = 90.00°, γ = 120.00°
Atoms (fractional coordinates):
Ac (0.000, 0.000, 0.000)
Mg (0.000, 0.513, 0.500)
Mg (0.333, 0.667, 0.000)
Mg (0.487, 0.487, 0.500)
Mg (0.513, 0.000, 0.500)
Mg (0.667, 0.333, 0.000)

---

# 20
A relaxed structure of Ac2MgPb. Source: Materials Project, functional PBE-GGA.

Summary:
Formation enthalpy at 0 K in meV/atom: -275
VASP energy in eV/f.u.: -14.66

a = 5.869 Å, b = 5.869 Å, c = 5.869 Å
α = 60.00°, β = 60.00°, γ = 60.00°
Atoms (fractional coordinates):
Ac (0.250, 0.250, 0.250)
Ac (0.750, 0.750, 0.750)
Mg (0.000, 0.000, 0.000)
Pb (0.500, 0.500, 0.500)

---

# 21
A relaxed structure of AcPrMg2. Source: Materials Project, functional PBE-GGA.

Summary:
Formation enthalpy at 0 K in meV/atom: -76
VASP energy in eV/f.u.: -12.41

a = 5.670 Å, b = 5.670 Å, c = 5.670 Å
α = 60.00°, β = 60.00°, γ = 60.00°
Atoms (fractional coordinates):
Ac (0.000, 0.000, 0.000)
Pr (0.500, 0.500, 0.500)
Mg (0.250, 0.250, 0.250)
Mg (0.750, 0.750, 0.750)

---

# 22
A relaxed structure of Ac2MgSn. Source: Materials Project, functional PBE-GGA.

Summary:
Formation enthalpy at 0 K in meV/atom: -352
VASP energy in eV/f.u.: -15.26

a = 5.789 Å, b = 5.789 Å, c = 5.789 Å
α = 60.00°, β = 60.00°, γ = 60.00°
Atoms (fractional coordinates):
Ac (0.250, 0.250, 0.250)
Ac (0.750, 0.750, 0.750)
Mg (0.000, 0.000, 0.000)
Sn (0.500, 0.500, 0.500)

---

# 23
A relaxed structure of AcMgTl2. Source: Materials Project, functional PBE-GGA.

Summary:
Formation enthalpy at 0 K in meV/atom: -255
VASP energy in eV/f.u.: -11.46

a = 5.558 Å, b = 5.558 Å, c = 5.558 Å
α = 60.00°, β = 60.00°, γ = 60.00°
Atoms (fractional coordinates):
Ac (0.000, 0.000, 0.000)
Mg (0.500, 0.500, 0.500)
Tl (0.250, 0.250, 0.250)
Tl (0.750, 0.750, 0.750)

---

# 24
A relaxed structure of NaAc2Pb. Source: Materials Project, functional PBE-GGA.

Summary:
Formation enthalpy at 0 K in meV/atom: -205
VASP energy in eV/f.u.: -14.10

a = 5.894 Å, b = 5.894 Å, c = 5.894 Å
α = 60.00°, β = 60.00°, γ = 60.00°
Atoms (fractional coordinates):
Na (0.000, 0.000, 0.000)
Ac (0.250, 0.250, 0.250)
Ac (0.750, 0.750, 0.750)
Pb (0.500, 0.500, 0.500)

---

# 25
A relaxed structure of Ac3Nb. Source: Materials Project, functional PBE-GGA.

Summary:
Formation enthalpy at 0 K in meV/atom: 557
VASP energy in eV/f.u.: -20.24

a = 6.457 Å, b = 6.457 Å, c = 6.457 Å
α = 132.74°, β = 132.74°, γ = 69.07°
Atoms (fractional coordinates):
Ac (0.000, 0.000, 0.000)
Ac (0.250, 0.750, 0.500)
Ac (0.750, 0.250, 0.500)
Nb (0.500, 0.500, 0.000)

---

# 26
A relaxed structure of AcO. Source: Materials Project, functional PBE-GGA.

Summary:
Formation enthalpy at 0 K in meV/atom: -2925
VASP energy in eV/f.u.: -14.23

a = 4.380 Å, b = 4.380 Å, c = 5.629 Å
α = 90.00°, β = 90.00°, γ = 120.00°
Atoms (fractional coordinates):
Ac (0.333, 0.667, 0.000)
Ac (0.667, 0.333, 0.500)
O (0.333, 0.667, 0.497)
O (0.667, 0.333, 0.997)

---

# 27
A relaxed structure of Ac2O3. Source: Materials Project, functional PBE-GGA.

Summary:
Formation enthalpy at 0 K in meV/atom: -3738
VASP energy in eV/f.u.: -39.71

a = 4.101 Å, b = 4.101 Å, c = 6.378 Å
α = 90.00°, β = 90.00°, γ = 120.00°
Atoms (fractional coordinates):
Ac (0.333, 0.667, 0.247)
Ac (0.667, 0.333, 0.753)
O (0.000, 0.000, 0.000)
O (0.333, 0.667, 0.644)
O (0.667, 0.333, 0.356)

---

# 28
A relaxed structure of AcScO3. Source: Materials Project, functional PBE-GGA.

Summary:
Formation enthalpy at 0 K in meV/atom: -3829
VASP energy in eV/f.u.: -42.38

a = 4.125 Å, b = 4.125 Å, c = 4.125 Å
α = 90.00°, β = 90.00°, γ = 90.00°
Atoms (fractional coordinates):
Ac (0.000, 0.000, 0.000)
Sc (0.500, 0.500, 0.500)
O (0.000, 0.500, 0.500)
O (0.500, 0.000, 0.500)
O (0.500, 0.500, 0.000)

---

# 29
A relaxed structure of AcTiO3. Source: Materials Project, functional PBE-GGA.

Summary:
Formation enthalpy at 0 K in meV/atom: -3608
VASP energy in eV/f.u.: -42.84

a = 4.015 Å, b = 4.015 Å, c = 4.015 Å
α = 90.00°, β = 90.00°, γ = 90.00°
Atoms (fractional coordinates):
Ac (0.000, 0.000, 0.000)
Ti (0.500, 0.500, 0.500)
O (0.000, 0.500, 0.500)
O (0.500, 0.000, 0.500)
O (0.500, 0.500, 0.000)